DFT (r²SCAN) results for a geometry-optimized CaPt2 structure.

size of the total moment = 0.0 μB per formula unit
ΔE_f = -1.026 eV per atom

extended XYZ file:
```
6
Lattice="4.6914 0.0000 2.7086 1.5638 4.4231 2.7086 0.0000 0.0000 5.4171" Properties=species:S:1:pos:R:3 pbc="T T T"
Ca 2.3457 1.6586 4.0628
Ca 3.9095 2.7644 6.7714
Pt 2.3457 0.0000 1.3543
Pt 0.0000 0.0000 0.0000
Pt 0.0000 0.0000 2.7086
Pt 0.7819 2.2115 1.3543
```


DFT (r²SCAN) results for a geometry-optimized LiMo6Cl13 structure.

size of the total moment = 0.0 μB per formula unit
ΔE_f = -1.173 eV per atom

extended XYZ file:
```
40
Lattice="-9.0256 -0.2750 -0.4617 3.1596 -5.9520 -6.0691 3.4811 -7.2738 11.2540" Properties=species:S:1:pos:R:3 pbc="T T T"
Mo -1.2224 -3.3273 4.5124
Mo -0.8205 -10.6978 6.8018
Mo -4.0572 -3.5227 -1.8641
Mo -2.9249 -5.2910 4.3656
Mo 1.6722 -9.9781 6.5874
Mo -1.1626 -10.1735 0.2109
Mo -0.5858 -8.7708 -1.9069
Mo 0.0501 -8.6218 8.1019
Mo 0.5400 -8.2097 0.3577
Mo -1.5645 -2.8030 -2.0786
Mo -1.7992 -4.7300 6.6301
Mo -2.4351 -4.8789 -3.3787
Cl -2.3064 -9.3849 8.3121
Cl -2.2052 -4.8742 -0.9179
Cl -2.6118 -11.0880 5.1877
Cl -1.8238 -7.3307 -3.5976
Cl 0.8288 -2.7749 3.3109
Cl -1.8948 -7.8552 -0.0335
Cl 2.9346 -8.7673 0.6683
Cl -3.1753 -1.5109 -0.6897
Cl -5.4646 -4.1497 0.0320
Cl -4.8345 -5.4815 -3.1809
Cl -0.0011 -9.6133 2.3370
Cl 3.0797 -9.3511 4.6912
Cl 1.0925 -6.9450 -1.7078
Cl -3.1027 -7.3599 3.0747
Cl -0.4902 -5.6456 4.7568
Cl -3.4775 -6.5558 6.4310
Cl 0.2269 -2.4128 -0.4645
Cl -0.5611 -6.1701 8.3209
Cl 0.7178 -6.1409 1.6486
Cl -0.0785 -4.1159 -3.5889
Cl -0.1798 -8.6266 5.6412
Cl -3.2137 -10.7259 1.4124
Cl 2.4496 -8.0193 7.9041
Cl -2.3838 -3.8874 2.3862
Cl 0.7903 -11.9899 5.4129
Cl -5.3195 -4.7334 4.0550
Li -3.6505 -9.6729 3.5475
Li 1.2656 -3.8279 1.1757
```